DFT (PBE-GGA) results for an optimized crystal structure of LiMgAg2.

Output
Calculated density: 5.852 g cm⁻³
Energy of formation: -93 kJ/mol of formula units

Geometry as CIF:
```
data_LiMgAg2
_chemical_formula_sum 'Li4 Mg4 Ag8'
_cell_length_a 6.545
_cell_length_b 6.545
_cell_length_c 6.545
_cell_angle_alpha 90.00
_cell_angle_beta 90.00
_cell_angle_gamma 90.00
_space_group_name_H-M_alt 'F m -3 m'
_space_group_IT_number 225
_space_group_name_Hall '-F 4 2 3'
loop_
_atom_site_label
_atom_site_type_symbol
_atom_site_fract_x
_atom_site_fract_y
_atom_site_fract_z
Li1 Li 0.000 0.000 0.000
Mg1 Mg 0.000 0.000 0.500
Ag1 Ag 0.250 0.250 0.250
```